[1]
VASP calculation (PBE) on Al2PO7 after structural relaxation.

Lattice parameters (Å, degrees): 5.2233 7.8599 7.8599 64.06 71.69 71.69
Fractional coordinates of all 20 atoms:
Al 0.0000 0.7812 0.2188
Al 0.0000 0.2188 0.7812
Al 0.4369 0.8027 0.8027
Al 0.5631 0.1973 0.1973
P 0.0825 0.6491 0.6491
P 0.9175 0.3509 0.3509
O 0.7951 0.7394 0.7394
O 0.2049 0.2606 0.2606
O 0.3025 0.6998 0.6998
O 0.6975 0.3002 0.3002
O 0.1251 0.4283 0.7289
O 0.1251 0.7289 0.4283
O 0.8749 0.5717 0.2711
O 0.8749 0.2711 0.5717
O 0.9758 0.9246 0.9246
O 0.0242 0.0754 0.0754
O 0.3289 0.7288 0.0585
O 0.3289 0.0585 0.7288
O 0.6711 0.2712 0.9415
O 0.6711 0.9415 0.2712

ΔE_f: -2.445 eV per atom
space-group type: C2/m, No. 12



[2]
VASP calculation (PBE) on RbMg14C after structural relaxation.

Lattice parameters (Å, degrees): 6.4682 6.4682 10.3992 90.00 90.00 120.00
Fractional coordinates of all 16 atoms:
Rb 0.1667 0.3333 0.1250
Mg 0.1785 0.8392 0.1250
Mg 0.1492 0.8246 0.6250
Mg 0.6608 0.3215 0.1250
Mg 0.6754 0.3508 0.6250
Mg 0.6608 0.8392 0.1250
Mg 0.6754 0.8246 0.6250
Mg 0.3268 0.1732 0.4113
Mg 0.3268 0.1732 0.8387
Mg 0.3268 0.6537 0.4113
Mg 0.3268 0.6537 0.8387
Mg 0.8463 0.1732 0.4113
Mg 0.8463 0.1732 0.8387
Mg 0.8333 0.6667 0.3656
Mg 0.8333 0.6667 0.8844
C 0.1667 0.3333 0.6250

ΔE_f: 0.429 eV per atom
distance to the lowest polymorph of the same formula: 1.587 eV per formula unit
space-group type: P-6m2, No. 187



[3]
VASP calculation (PBE) on Na4Ge5O12 after structural relaxation.

Lattice parameters (Å, degrees): 5.2658 5.2658 9.4169 90.00 90.00 120.00
Fractional coordinates of all 21 atoms:
Na 0.0000 0.0000 0.3105
Na 0.3333 0.6667 0.0964
Na 0.6667 0.3333 0.9036
Na 0.0000 0.0000 0.6895
Ge 0.6667 0.3333 0.2119
Ge 0.6667 0.3333 0.5234
Ge 0.3333 0.6667 0.4766
Ge 0.0000 0.0000 0.0000
Ge 0.3333 0.6667 0.7881
O 0.9188 0.6724 0.1240
O 0.3276 0.2464 0.1240
O 0.7536 0.0812 0.1240
O 0.6031 0.5787 0.3854
O 0.4213 0.0244 0.3854
O 0.9756 0.3969 0.3854
O 0.6724 0.7536 0.8760
O 0.2464 0.9188 0.8760
O 0.0812 0.3276 0.8760
O 0.3969 0.4213 0.6146
O 0.5787 0.9756 0.6146
O 0.0244 0.6031 0.6146

ΔE_f: -1.969 eV per atom
space-group type: P-3, No. 147



[4]
VASP calculation (PBE) on Si12Ni31 after structural relaxation.

Lattice parameters (Å, degrees): 6.6493 6.6493 12.2791 90.00 90.00 120.00
Fractional coordinates of all 43 atoms:
Si 0.0000 0.0000 0.7096
Si 0.0000 0.0000 0.2904
Si 0.6667 0.3333 0.7246
Si 0.3333 0.6667 0.2754
Si 0.6667 0.3333 0.2267
Si 0.3333 0.6667 0.7733
Si 0.6807 0.0000 0.0000
Si 0.3193 0.3193 0.0000
Si 0.0000 0.6807 0.0000
Si 0.3505 0.0000 0.5000
Si 0.6495 0.6495 0.5000
Si 0.0000 0.3505 0.5000
Ni 0.0000 0.0000 0.5000
Ni 0.0000 0.0000 0.9035
Ni 0.0000 0.0000 0.0965
Ni 0.6667 0.3333 0.9271
Ni 0.3333 0.6667 0.0729
Ni 0.6667 0.3333 0.4332
Ni 0.3333 0.6667 0.5668
Ni 0.3330 0.9203 0.9046
Ni 0.5873 0.6670 0.9046
Ni 0.0797 0.4127 0.9046
Ni 0.6670 0.5873 0.0954
Ni 0.9203 0.3330 0.0954
Ni 0.4127 0.0797 0.0954
Ni 0.7020 0.0374 0.8021
Ni 0.3354 0.2980 0.8021
Ni 0.9626 0.6646 0.8021
Ni 0.2980 0.3354 0.1979
Ni 0.0374 0.7020 0.1979
Ni 0.6646 0.9626 0.1979
Ni 0.3220 0.9650 0.6945
Ni 0.6430 0.6780 0.6945
Ni 0.0350 0.3570 0.6945
Ni 0.6780 0.6430 0.3055
Ni 0.9650 0.3220 0.3055
Ni 0.3570 0.0350 0.3055
Ni 0.6913 0.0631 0.5960
Ni 0.3718 0.3087 0.5960
Ni 0.9369 0.6282 0.5960
Ni 0.3087 0.3718 0.4040
Ni 0.0631 0.6913 0.4040
Ni 0.6282 0.9369 0.4040

ΔE_f: -0.491 eV per atom
space-group type: P321, No. 150



[5]
VASP calculation (PBE) on CaTe after structural relaxation.

Lattice parameters (Å, degrees): 4.5235 4.5235 4.5235 60.00 60.00 60.00
Fractional coordinates of all 2 atoms:
Ca 0.0000 0.0000 0.0000
Te 0.5000 0.5000 0.5000

ΔE_f: -1.859 eV per atom
space-group type: Fm-3m, No. 225



[6]
VASP calculation (PBE) on UFeC2 after structural relaxation.

Lattice parameters (Å, degrees): 3.5104 3.5104 7.1314 90.00 90.00 90.00
Fractional coordinates of all 8 atoms:
U 0.0000 0.5000 0.6846
U 0.5000 0.0000 0.3154
Fe 0.0000 0.0000 0.0000
Fe 0.5000 0.5000 0.0000
C 0.0000 0.5000 0.1513
C 0.5000 0.0000 0.8487
C 0.0000 0.5000 0.3614
C 0.5000 0.0000 0.6386

ΔE_f: -0.145 eV per atom
space-group type: P4/nmm, No. 129



[7]
VASP calculation (PBE) on BeSiRu2 after structural relaxation.

Lattice parameters (Å, degrees): 4.0547 4.0547 4.0547 60.00 60.00 60.00
Fractional coordinates of all 4 atoms:
Be 0.5000 0.5000 0.5000
Si 0.0000 0.0000 0.0000
Ru 0.2500 0.2500 0.2500
Ru 0.7500 0.7500 0.7500

ΔE_f: -0.555 eV per atom
space-group type: Fm-3m, No. 225



Q: What is the ΔE_f in the sixth record?
A: -0.145 eV per atom



Q: Among the records above, which one has the lowest ΔE_f?
A: Al2PO7



Q: Which of these has the highest ΔE_f?
A: RbMg14C



Q: What is the ΔE_f in the second record?
A: 0.429 eV per atom